w | # Ba3LiTi3O8 (PBE, optimized geometry)
data_Ba3LiTi3O8
_chemical_formula_sum 'Ba6 Li2 Ti6 O16'
_symmetry_space_group_name_H-M 'C 1 2/m 1'
_symmetry_Int_Tables_number 12
_symmetry_space_group_name_Hall '-C 2y'
_cell_length_a 10.519
_cell_length_b 5.714
_cell_length_c 7.141
_cell_angle_alpha 90.00
_cell_angle_beta 94.94
_cell_angle_gamma 90.00
loop_
_atom_site_label
_atom_site_fract_x
_atom_site_fract_y
_atom_site_fract_z
Ba1 0.000 0.000 0.000
Ba2 0.196 0.500 0.305
Li1 0.000 0.500 0.500
Ti1 0.000 0.000 0.500
Ti2 0.184 0.500 0.812
O1 0.081 0.259 0.667
O2 0.168 0.000 0.335
O3 0.250 0.250 0.000
# Magnetization (μB/cell): 4.77
# Crystal system: monoclinic



x | # Ba3LiTi3O8 (PBE, optimized geometry)
data_Ba3LiTi3O8
_chemical_formula_sum 'Ba3 Li1 Ti3 O8'
_symmetry_space_group_name_H-M 'P 1'
_symmetry_Int_Tables_number 1
_symmetry_space_group_name_Hall 'P 1'
_cell_length_a 5.871
_cell_length_b 5.890
_cell_length_c 7.808
_cell_angle_alpha 101.29
_cell_angle_beta 92.12
_cell_angle_gamma 119.19
loop_
_atom_site_label
_atom_site_fract_x
_atom_site_fract_y
_atom_site_fract_z
Ba1 0.000 0.000 0.000
Ba2 0.251 0.484 0.439
Ba3 0.622 0.240 0.743
Li1 0.777 0.535 0.169
Ti1 0.295 0.598 0.898
Ti2 0.533 0.076 0.292
Ti3 0.948 0.860 0.557
O1 0.016 0.507 0.022
O2 0.115 0.751 0.709
O3 0.125 0.248 0.713
O4 0.208 0.967 0.368
O5 0.499 0.997 0.045
O6 0.515 0.525 0.014
O7 0.710 0.946 0.403
O8 0.719 0.445 0.392
# Crystal system: triclinic



y | # Ba3LiTi3O8 (PBE, optimized geometry)
data_Ba3LiTi3O8
_chemical_formula_sum 'Ba3 Li1 Ti3 O8'
_symmetry_space_group_name_H-M 'P -1'
_symmetry_Int_Tables_number 2
_symmetry_space_group_name_Hall '-P 1'
_cell_length_a 5.761
_cell_length_b 5.796
_cell_length_c 7.146
_cell_angle_alpha 87.86
_cell_angle_beta 88.60
_cell_angle_gamma 61.29
loop_
_atom_site_label
_atom_site_fract_x
_atom_site_fract_y
_atom_site_fract_z
Ba1 0.000 0.000 0.000
Ba2 0.295 0.391 0.701
Li1 0.500 0.000 0.500
Ti1 0.000 0.000 0.500
Ti2 0.361 0.317 0.183
O1 0.172 0.650 0.329
O2 0.183 0.154 0.335
O3 0.328 0.849 0.662
O4 0.500 0.000 0.000
O5 0.500 0.500 0.000
# Crystal system: triclinic



It comes down to w, which is 10 meV/atom more stable than the next structure.



w | # BaYF5 (PBE, optimized geometry)
data_BaYF5
_chemical_formula_sum 'Ba4 Y4 F20'
_symmetry_space_group_name_H-M 'C 1 2/c 1'
_symmetry_Int_Tables_number 15
_symmetry_space_group_name_Hall '-C 2yc'
_cell_length_a 4.480
_cell_length_b 16.378
_cell_length_c 5.991
_cell_angle_alpha 90.00
_cell_angle_beta 92.72
_cell_angle_gamma 90.00
loop_
_atom_site_label
_atom_site_fract_x
_atom_site_fract_y
_atom_site_fract_z
Ba1 0.000 0.173 0.250
Y1 0.000 0.427 0.250
F1 0.000 0.117 0.750
F2 0.012 0.317 0.012
F3 0.226 0.466 0.592
# Crystal system: monoclinic



x | # BaYF5 (PBE, optimized geometry)
data_BaYF5
_chemical_formula_sum 'Ba4 Y4 F20'
_symmetry_space_group_name_H-M 'P 1 21 1'
_symmetry_Int_Tables_number 4
_symmetry_space_group_name_Hall 'P 2yb'
_cell_length_a 5.625
_cell_length_b 9.806
_cell_length_c 8.344
_cell_angle_alpha 90.00
_cell_angle_beta 92.83
_cell_angle_gamma 90.00
loop_
_atom_site_label
_atom_site_fract_x
_atom_site_fract_y
_atom_site_fract_z
Ba1 0.001 0.000 0.257
Ba2 0.498 0.732 0.994
Y1 0.005 0.493 0.262
Y2 0.468 0.749 0.459
F1 0.100 0.777 0.819
F2 0.144 0.620 0.490
F3 0.174 0.721 0.219
F4 0.189 0.028 0.980
F5 0.229 0.914 0.526
F6 0.240 0.371 0.431
F7 0.282 0.467 0.080
F8 0.318 0.129 0.704
F9 0.425 0.152 0.310
F10 0.437 0.387 0.747
# Magnetization (μB/cell): 0.00
# Crystal system: monoclinic
# Maximum piezoelectric response (C/m²): 2.9



It comes down to w, which is 62 meV/atom more stable than the next structure.



w | # BaYF5 (PBE, optimized geometry)
data_BaYF5
_chemical_formula_sum 'Ba2 Y2 F10'
_symmetry_space_group_name_H-M 'P m m a'
_symmetry_Int_Tables_number 51
_symmetry_space_group_name_Hall '-P 2a 2a'
_cell_length_a 13.515
_cell_length_b 3.915
_cell_length_c 3.916
_cell_angle_alpha 90.00
_cell_angle_beta 90.00
_cell_angle_gamma 90.00
loop_
_atom_site_label
_atom_site_fract_x
_atom_site_fract_y
_atom_site_fract_z
Ba1 0.250 0.000 0.007
Y1 0.000 0.500 0.500
F1 0.093 0.000 0.506
F2 0.093 0.500 0.004
F3 0.250 0.500 0.507
# Magnetization (μB/cell): 0.00
# Crystal system: orthorhombic



x | # BaYF5 (PBE, optimized geometry)
data_BaYF5
_chemical_formula_sum 'Ba6 Y6 F30'
_symmetry_space_group_name_H-M 'P -1'
_symmetry_Int_Tables_number 2
_symmetry_space_group_name_Hall '-P 1'
_cell_length_a 7.445
_cell_length_b 8.667
_cell_length_c 11.377
_cell_angle_alpha 78.55
_cell_angle_beta 87.11
_cell_angle_gamma 75.69
loop_
_atom_site_label
_atom_site_fract_x
_atom_site_fract_y
_atom_site_fract_z
Ba1 0.156 0.464 0.235
Ba2 0.232 0.120 0.573
Ba3 0.242 0.780 0.903
Y1 0.283 0.951 0.241
Y2 0.294 0.222 0.932
Y3 0.295 0.667 0.513
F1 0.005 0.659 0.040
F2 0.016 0.633 0.558
F3 0.076 0.187 0.222
F4 0.151 0.930 0.440
F5 0.152 0.729 0.322
F6 0.164 0.022 0.050
F7 0.183 0.105 0.800
F8 0.218 0.443 0.789
F9 0.282 0.789 0.665
F10 0.365 0.375 0.054
F11 0.400 0.444 0.428
F12 0.409 0.090 0.351
F13 0.418 0.751 0.134
F14 0.487 0.767 0.375
F15 0.490 0.044 0.106
# Magnetization (μB/cell): 0.00
# Crystal system: triclinic



It comes down to w, which is 33 meV/atom more stable than the next structure.



w | # Ge (PBE, optimized geometry)
data_Ge
_chemical_formula_sum 'Ge8'
_symmetry_space_group_name_H-M 'P 63/m m c'
_symmetry_Int_Tables_number 194
_symmetry_space_group_name_Hall '-P 6c 2c'
_cell_length_a 4.0807
_cell_length_b 4.0807
_cell_length_c 13.2479
_cell_angle_alpha 90.00
_cell_angle_beta 90.00
_cell_angle_gamma 120.00
loop_
_atom_site_label
_atom_site_fract_x
_atom_site_fract_y
_atom_site_fract_z
Ge1 0.0000 0.0000 0.0932
Ge2 0.3333 0.6667 0.1557
# Crystal system: hexagonal



x | # Ge (PBE, optimized geometry)
data_Ge
_chemical_formula_sum 'Ge24'
_symmetry_space_group_name_H-M 'R -3'
_symmetry_Int_Tables_number 148
_symmetry_space_group_name_Hall '-R 3'
_cell_length_a 10.0248
_cell_length_b 10.0248
_cell_length_c 5.9659
_cell_angle_alpha 90.00
_cell_angle_beta 90.00
_cell_angle_gamma 120.00
loop_
_atom_site_label
_atom_site_fract_x
_atom_site_fract_y
_atom_site_fract_z
Ge1 0.0000 0.0000 0.2145
Ge2 0.0378 0.2673 0.7404
# Magnetization (μB/cell): 0.00
# Crystal system: trigonal



It comes down to w, which is 134 meV/atom more stable than the next structure.



w | # NbPO5 (PBE, optimized geometry)
data_NbPO5
_chemical_formula_sum 'Nb4 P4 O20'
_symmetry_space_group_name_H-M 'P n m a'
_symmetry_Int_Tables_number 62
_symmetry_space_group_name_Hall '-P 2ac 2n'
_cell_length_a 11.473
_cell_length_b 5.441
_cell_length_c 6.812
_cell_angle_alpha 90.00
_cell_angle_beta 90.00
_cell_angle_gamma 90.00
loop_
_atom_site_label
_atom_site_fract_x
_atom_site_fract_y
_atom_site_fract_z
Nb1 0.063 0.250 0.169
P1 0.154 0.750 0.472
O1 0.000 0.000 0.000
O2 0.081 0.750 0.664
O3 0.128 0.517 0.354
O4 0.216 0.250 0.030
# Crystal system: orthorhombic



x | # NbPO5 (PBE, optimized geometry)
data_NbPO5
_chemical_formula_sum 'Nb2 P2 O10'
_symmetry_space_group_name_H-M 'P 4/n m m'
_symmetry_Int_Tables_number 129
_cell_length_a 6.513
_cell_length_b 6.513
_cell_length_c 4.213
_cell_angle_alpha 90.00
_cell_angle_beta 90.00
_cell_angle_gamma 90.00
loop_
_symmetry_equiv_pos_as_xyz
'x,y,z'
'-x,-y,-z'
'-y+1/2,x,z'
'y+1/2,-x,-z'
'-x+1/2,-y+1/2,z'
'x+1/2,y+1/2,-z'
'y,-x+1/2,z'
'-y,x+1/2,-z'
'x+1/2,-y,-z'
'-x+1/2,y,z'
'-y,-x,-z'
'y,x,z'
'-x,y+1/2,-z'
'x,-y+1/2,z'
'y+1/2,x+1/2,-z'
'-y+1/2,-x+1/2,z'
loop_
_atom_site_label
_atom_site_fract_x
_atom_site_fract_y
_atom_site_fract_z
Nb1 0.250 0.250 0.223
P1 0.250 0.750 0.500
O1 0.057 0.750 0.710
O2 0.250 0.250 0.800
# Magnetization (μB/cell): 0.00
# Crystal system: tetragonal



It comes down to w, which is 23 meV/atom more stable than the next structure.



w | # Li4SnP6O18 (PBE, optimized geometry)
data_Li4SnP6O18
_chemical_formula_sum 'Li4 Sn1 P6 O18'
_symmetry_space_group_name_H-M 'P 1'
_symmetry_Int_Tables_number 1
_symmetry_space_group_name_Hall 'P 1'
_cell_length_a 7.304
_cell_length_b 7.494
_cell_length_c 7.586
_cell_angle_alpha 113.77
_cell_angle_beta 104.85
_cell_angle_gamma 97.95
loop_
_atom_site_label
_atom_site_fract_x
_atom_site_fract_y
_atom_site_fract_z
Li1 0.000 0.000 0.000
Li2 0.000 0.361 0.291
Li3 0.354 0.140 0.398
Li4 0.710 0.268 0.853
Sn1 0.774 0.837 0.463
P1 0.082 0.313 0.736
P2 0.084 0.649 0.098
P3 0.347 0.406 0.139
P4 0.358 0.866 0.667
P5 0.611 0.988 0.081
P6 0.614 0.626 0.747
O1 0.064 0.540 0.855
O2 0.099 0.277 0.534
O3 0.108 0.870 0.162
O4 0.142 0.827 0.571
O5 0.212 0.270 0.183
O6 0.288 0.321 0.891
O7 0.295 0.623 0.203
O8 0.408 0.967 0.915
O9 0.409 0.649 0.624
O10 0.505 0.987 0.620
O11 0.564 0.450 0.233
O12 0.576 0.035 0.278
O13 0.591 0.408 0.692
O14 0.626 0.753 0.983
O15 0.782 0.117 0.072
O16 0.785 0.746 0.722
O17 0.919 0.165 0.742
O18 0.925 0.524 0.126
# Magnetization (μB/cell): 0.00
# Crystal system: triclinic



x | # Li4SnP6O18 (PBE, optimized geometry)
data_Li4SnP6O18
_chemical_formula_sum 'Li16 Sn4 P24 O72'
_symmetry_space_group_name_H-M 'C 1 2/c 1'
_symmetry_Int_Tables_number 15
_symmetry_space_group_name_Hall '-C 2yc'
_cell_length_a 12.422
_cell_length_b 8.103
_cell_length_c 14.498
_cell_angle_alpha 90.00
_cell_angle_beta 93.96
_cell_angle_gamma 90.00
loop_
_atom_site_label
_atom_site_fract_x
_atom_site_fract_y
_atom_site_fract_z
Li1 0.169 0.098 0.449
Li2 0.177 0.356 0.931
Sn1 0.000 0.129 0.750
P1 0.077 0.193 0.102
P2 0.093 0.449 0.608
P3 0.218 0.352 0.243
O1 0.005 0.323 0.621
O2 0.019 0.082 0.396
O3 0.030 0.378 0.087
O4 0.132 0.207 0.208
O5 0.150 0.483 0.710
O6 0.162 0.159 0.036
O7 0.174 0.426 0.538
O8 0.186 0.163 0.816
O9 0.231 0.354 0.345
# Magnetization (μB/cell): 0.00
# Crystal system: monoclinic



It comes down to w, which is 14 meV/atom more stable than the next structure.